Below is crystalline Gd3B2O6F3 at its relaxed geometry, with properties calculated at the PBE level.

Unit cell a=6.2367 b=7.1451 c=8.3645 alpha=96.18 beta=90.00 gamma=115.88
Last column: nearest neighbours and their distance in Å.
Fractional coordinates of all 28 atoms:
1 Gd 0.7862 0.3560 0.1798  2 F 2.29-2.56, 5 O 2.34-2.56
2 Gd 0.2138 0.6440 0.8202  2 F 2.29-2.56, 5 O 2.34-2.56
3 Gd 0.1037 0.0000 0.2500  3 F 2.34-2.50, 4 O 2.38-2.39
4 Gd 0.8963 0.0000 0.7500  3 F 2.34-2.50, 4 O 2.38-2.39
5 Gd 0.4302 0.6440 0.3202  2 F 2.29-2.56, 5 O 2.34-2.56
6 Gd 0.5698 0.3560 0.6798  2 F 2.29-2.56, 5 O 2.34-2.56
7 B 0.2717 0.3615 0.0214  3 O 1.38-1.41
8 B 0.7283 0.6385 0.9786  3 O 1.38-1.41
9 B 0.0898 0.3615 0.5214  3 O 1.38-1.41
10 B 0.9102 0.6385 0.4786  3 O 1.38-1.41
11 O 0.6845 0.4781 0.4251  1 B 1.41
12 O 0.9487 0.7010 0.6432  1 B 1.39
13 O 0.2063 0.5219 0.0749  1 B 1.41
14 O 0.0821 0.7012 0.3661  1 B 1.38
15 O 0.2478 0.2990 0.8568  1 B 1.39
16 O 0.3810 0.2988 0.1339  1 B 1.38
17 O 0.6190 0.7012 0.8661  1 B 1.38
18 O 0.7937 0.4781 0.9251  1 B 1.41
19 O 0.3155 0.5219 0.5749  1 B 1.41
20 O 0.9179 0.2988 0.6339  1 B 1.38
21 O 0.7522 0.7010 0.1432  1 B 1.39
22 O 0.0513 0.2990 0.3568  1 B 1.39
23 F 0.1271 0.8952 0.9586  2 Gd 2.29-2.50, 1 B 2.38
24 F 0.8729 0.1048 0.0414  2 Gd 2.29-2.50, 1 B 2.38
25 F 0.7682 0.8952 0.4586  2 Gd 2.29-2.50, 1 B 2.38
26 F 0.4782 0.0000 0.2500  3 Gd 2.34-2.56
27 F 0.2318 0.1048 0.5414  2 Gd 2.29-2.50, 1 B 2.38
28 F 0.5218 0.0000 0.7500  3 Gd 2.34-2.56

Corrected total energy (MP2020 scheme)   -286.4 eV/cell

---

Below is crystalline Hf6Cr5Si7 at its relaxed geometry, with properties calculated at the PBE level.

Unit cell a=5.0924 b=13.2240 c=16.2926 alpha=90.00 beta=90.00 gamma=90.00
Last column: nearest neighbours and their distance in Å.
Fractional coordinates of all 72 atoms:
1 Hf 0.2500 0.1817 0.2900  7 Si 2.69-2.83, 2 Cr 2.97
2 Hf 0.7500 0.8183 0.7100  7 Si 2.69-2.83, 2 Cr 2.97
3 Hf 0.7500 0.6817 0.2100  7 Si 2.69-2.83, 2 Cr 2.97
4 Hf 0.2500 0.3183 0.7900  7 Si 2.69-2.83, 2 Cr 2.97
5 Hf 0.2500 0.8174 0.1496  7 Si 2.78-2.85, 2 Cr 2.99
6 Hf 0.7500 0.1826 0.8504  7 Si 2.78-2.85, 2 Cr 2.99
7 Hf 0.7500 0.3174 0.3504  7 Si 2.78-2.85, 2 Cr 2.99
8 Hf 0.2500 0.6826 0.6496  7 Si 2.78-2.85, 2 Cr 2.99
9 Hf 0.2500 0.9680 0.6761  6 Si 2.66-2.85, 3 Cr 2.86-2.96
10 Hf 0.7500 0.0320 0.3239  6 Si 2.66-2.85, 3 Cr 2.86-2.96
11 Hf 0.7500 0.4680 0.8239  6 Si 2.66-2.85, 3 Cr 2.86-2.96
12 Hf 0.2500 0.5320 0.1761  6 Si 2.66-2.85, 3 Cr 2.86-2.96
13 Hf 0.2500 0.7311 0.4435  6 Si 2.66-2.83, 2 Cr 2.84
14 Hf 0.7500 0.2689 0.5565  6 Si 2.66-2.83, 2 Cr 2.84
15 Hf 0.7500 0.2311 0.0565  6 Si 2.66-2.83, 2 Cr 2.84
16 Hf 0.2500 0.7689 0.9435  6 Si 2.66-2.83, 2 Cr 2.84
17 Hf 0.2500 0.9710 0.4376  5 Si 2.80-2.93, 5 Cr 2.95-3.08
18 Hf 0.7500 0.0290 0.5624  5 Si 2.80-2.93, 5 Cr 2.95-3.08
19 Hf 0.7500 0.4710 0.0624  5 Si 2.80-2.93, 5 Cr 2.95-3.08
20 Hf 0.2500 0.5290 0.9376  5 Si 2.80-2.93, 5 Cr 2.95-3.08
21 Hf 0.2500 0.3502 0.4649  7 Si 2.66-2.90
22 Hf 0.7500 0.6498 0.5351  7 Si 2.66-2.90
23 Hf 0.7500 0.8502 0.0351  7 Si 2.66-2.90
24 Hf 0.2500 0.1498 0.9649  7 Si 2.66-2.90
25 Cr 0.2500 0.1442 0.5637  3 Si 2.36-2.42, 2 Cr 2.37
26 Cr 0.7500 0.8558 0.4363  3 Si 2.36-2.42, 2 Cr 2.37
27 Cr 0.7500 0.6442 0.9363  3 Si 2.36-2.42, 2 Cr 2.37
28 Cr 0.2500 0.3558 0.0637  3 Si 2.36-2.42, 2 Cr 2.37
29 Cr 0.5005 0.1613 0.6855  3 Cr 2.37-2.55, 4 Si 2.44-2.50
30 Cr 0.0005 0.8387 0.3145  3 Cr 2.37-2.55, 4 Si 2.44-2.50
31 Cr 0.4995 0.6613 0.8145  3 Cr 2.37-2.55, 4 Si 2.44-2.50
32 Cr 0.9995 0.3387 0.1855  3 Cr 2.37-2.55, 4 Si 2.44-2.50
33 Cr 0.4995 0.8387 0.3145  3 Cr 2.37-2.55, 4 Si 2.44-2.50
34 Cr 0.9995 0.1613 0.6855  3 Cr 2.37-2.55, 4 Si 2.44-2.50
35 Cr 0.5005 0.3387 0.1855  3 Cr 2.37-2.55, 4 Si 2.44-2.50
36 Cr 0.0005 0.6613 0.8145  3 Cr 2.37-2.55, 4 Si 2.44-2.50
37 Cr 0.5130 0.0397 0.1302  2 Cr 2.41-2.68, 6 Si 2.44-2.66
38 Cr 0.0130 0.9603 0.8698  2 Cr 2.41-2.68, 6 Si 2.44-2.66
39 Cr 0.4870 0.5397 0.3698  2 Cr 2.41-2.68, 6 Si 2.44-2.66
40 Cr 0.9870 0.4603 0.6302  2 Cr 2.41-2.68, 6 Si 2.44-2.66
41 Cr 0.4870 0.9603 0.8698  2 Cr 2.41-2.68, 6 Si 2.44-2.66
42 Cr 0.9870 0.0397 0.1302  2 Cr 2.41-2.68, 6 Si 2.44-2.66
43 Cr 0.5130 0.4603 0.6302  2 Cr 2.41-2.68, 6 Si 2.44-2.66
44 Cr 0.0130 0.5397 0.3698  2 Cr 2.41-2.68, 6 Si 2.44-2.66
45 Si 0.4964 0.8409 0.5615  1 Cr 2.42, 2 Si 2.51-2.58
46 Si 0.9964 0.1591 0.4385  1 Cr 2.42, 2 Si 2.51-2.58
47 Si 0.5036 0.3409 0.9385  1 Cr 2.42, 2 Si 2.51-2.58
48 Si 0.0036 0.6591 0.0615  1 Cr 2.42, 2 Si 2.51-2.58
49 Si 0.5036 0.1591 0.4385  1 Cr 2.42, 2 Si 2.51-2.58
50 Si 0.0036 0.8409 0.5615  1 Cr 2.42, 2 Si 2.51-2.58
51 Si 0.4964 0.6591 0.0615  1 Cr 2.42, 2 Si 2.51-2.58
52 Si 0.9964 0.3409 0.9385  1 Cr 2.42, 2 Si 2.51-2.58
53 Si 0.2500 0.9800 0.2581  4 Cr 2.44-2.60, 1 Hf 2.72
54 Si 0.7500 0.0200 0.7419  4 Cr 2.44-2.60, 1 Hf 2.72
55 Si 0.7500 0.4800 0.2419  4 Cr 2.44-2.60, 1 Hf 2.72
56 Si 0.2500 0.5200 0.7581  4 Cr 2.44-2.60, 1 Hf 2.72
57 Si 0.2500 0.8189 0.7853  4 Cr 2.49-2.62, 2 Hf 2.66
58 Si 0.7500 0.1811 0.2147  4 Cr 2.49-2.62, 2 Hf 2.66
59 Si 0.7500 0.3189 0.7147  4 Cr 2.49-2.62, 2 Hf 2.66
60 Si 0.2500 0.6811 0.2853  4 Cr 2.49-2.62, 2 Hf 2.66
61 Si 0.2500 0.1939 0.1253  5 Cr 2.36-2.50
62 Si 0.7500 0.8061 0.8747  5 Cr 2.36-2.50
63 Si 0.7500 0.6939 0.3747  5 Cr 2.36-2.50
64 Si 0.2500 0.3061 0.6253  5 Cr 2.36-2.50
65 Si 0.2500 0.1072 0.8051  4 Cr 2.44-2.52, 1 Hf 2.66
66 Si 0.7500 0.8928 0.1949  4 Cr 2.44-2.52, 1 Hf 2.66
67 Si 0.7500 0.6072 0.6949  4 Cr 2.44-2.52, 1 Hf 2.66
68 Si 0.2500 0.3928 0.3051  4 Cr 2.44-2.52, 1 Hf 2.66
69 Si 0.2500 0.9517 0.0154  4 Cr 2.58-2.66, 3 Hf 2.69-2.82
70 Si 0.7500 0.0483 0.9846  4 Cr 2.58-2.66, 3 Hf 2.69-2.82
71 Si 0.7500 0.4517 0.4846  4 Cr 2.58-2.66, 3 Hf 2.69-2.82
72 Si 0.2500 0.5483 0.5154  4 Cr 2.58-2.66, 3 Hf 2.69-2.82

Corrected total energy (MP2020 scheme)   -627.3 eV/cell

---

Below is crystalline PrY at its relaxed geometry, with properties calculated at the PBE level.

Unit cell a=3.6611 b=3.6611 c=5.9479 alpha=90.00 beta=90.00 gamma=120.00
Last column: nearest neighbours and their distance in Å.
Fractional coordinates of all 2 atoms:
1 Pr 0.0000 0.0000 0.0000  6 Y 3.65, 6 Pr 3.66
2 Y 0.3333 0.6667 0.5000  6 Pr 3.65, 6 Y 3.66

---

Below is crystalline Ag13As3I4O12 at its relaxed geometry, with properties calculated at the PBE level.

Unit cell a=7.1404 b=9.4452 c=18.1107 alpha=89.55 beta=90.00 gamma=90.00
Last column: nearest neighbours and their distance in Å.
Fractional coordinates of all 64 atoms:
1 Ag 0.2500 0.7054 0.3339  3 O 2.44-2.48
2 Ag 0.7500 0.2946 0.6661  3 O 2.44-2.48
3 Ag 0.7500 0.0480 0.3805  4 O 2.44-2.68
4 Ag 0.2500 0.9520 0.6195  4 O 2.44-2.68
5 Ag 0.5389 0.9759 0.2443  3 O 2.38-2.51
6 Ag 0.0389 0.0241 0.7557  3 O 2.38-2.51
7 Ag 0.4611 0.0241 0.7557  3 O 2.38-2.51
8 Ag 0.9611 0.9759 0.2443  3 O 2.38-2.51
9 Ag 0.4594 0.3936 0.3337  2 O 2.35-2.41
10 Ag 0.9594 0.6064 0.6663  2 O 2.35-2.41
11 Ag 0.5406 0.6064 0.6663  2 O 2.35-2.41
12 Ag 0.0406 0.3936 0.3337  2 O 2.35-2.41
13 Ag 0.4855 0.7687 0.4765  3 O 2.35-2.42
14 Ag 0.9855 0.2313 0.5235  3 O 2.35-2.42
15 Ag 0.5145 0.2313 0.5235  3 O 2.35-2.42
16 Ag 0.0145 0.7687 0.4765  3 O 2.35-2.42
17 Ag 0.4876 0.6286 0.1536  2 O 2.38-2.39
18 Ag 0.9876 0.3714 0.8464  2 O 2.38-2.39
19 Ag 0.5124 0.3714 0.8464  2 O 2.38-2.39
20 Ag 0.0124 0.6286 0.1536  2 O 2.38-2.39
21 Ag 0.7500 0.9127 0.0900  3 O 2.29-2.54
22 Ag 0.2500 0.0873 0.9100  3 O 2.29-2.54
23 Ag 0.5038 0.2733 0.0685  2 O 2.36-2.37
24 Ag 0.0038 0.7267 0.9315  2 O 2.36-2.37
25 Ag 0.4962 0.7267 0.9315  2 O 2.36-2.37
26 Ag 0.9962 0.2733 0.0685  2 O 2.36-2.37
27 As 0.7500 0.6869 0.3217  4 O 1.72-1.74
28 As 0.2500 0.3131 0.6783  4 O 1.72-1.74
29 As 0.2500 0.9306 0.0728  4 O 1.73-1.74
30 As 0.7500 0.0694 0.9272  4 O 1.73-1.74
31 As 0.2500 0.0620 0.3944  4 O 1.73-1.75
32 As 0.7500 0.9380 0.6056  4 O 1.73-1.75
33 I 0.7500 0.2136 0.2188  2 Ag 2.74
34 I 0.2500 0.7864 0.7812  2 Ag 2.74
35 I 0.2500 0.5272 0.4574  5 Ag 2.79-2.98
36 I 0.7500 0.4728 0.5426  5 Ag 2.79-2.98
37 I 0.2500 0.4009 0.1936  6 Ag 2.83-3.15
38 I 0.7500 0.5991 0.8064  6 Ag 2.83-3.15
39 I 0.7500 0.5382 0.0468  4 Ag 2.83-3.08
40 I 0.2500 0.4618 0.9532  4 Ag 2.83-3.08
41 O 0.5500 0.7293 0.2711  1 As 1.74
42 O 0.0500 0.2707 0.7289  1 As 1.74
43 O 0.4500 0.2707 0.7289  1 As 1.74
44 O 0.9500 0.7293 0.2711  1 As 1.74
45 O 0.7500 0.7919 0.4004  1 As 1.74
46 O 0.2500 0.2081 0.5996  1 As 1.74
47 O 0.7500 0.5089 0.3429  1 As 1.72
48 O 0.2500 0.4911 0.6571  1 As 1.72
49 O 0.4444 0.8730 0.1223  1 As 1.74
50 O 0.9444 0.1270 0.8777  1 As 1.74
51 O 0.5556 0.1270 0.8777  1 As 1.74
52 O 0.0556 0.8730 0.1223  1 As 1.74
53 O 0.2500 0.8590 0.9849  1 As 1.73
54 O 0.7500 0.1410 0.0151  1 As 1.73
55 O 0.4504 0.1680 0.3966  1 As 1.75
56 O 0.9504 0.8320 0.6034  1 As 1.75
57 O 0.5496 0.8320 0.6034  1 As 1.75
58 O 0.0496 0.1680 0.3966  1 As 1.75
59 O 0.2500 0.9525 0.4713  1 As 1.73
60 O 0.7500 0.0475 0.5287  1 As 1.73
61 O 0.2500 0.9647 0.3131  1 As 1.74
62 O 0.7500 0.0353 0.6869  1 As 1.74
63 O 0.2500 0.1132 0.0624  1 As 1.73
64 O 0.7500 0.8868 0.9376  1 As 1.73

Corrected total energy (MP2020 scheme)   -283.2 eV/cell

---

Below is crystalline ZnCu2SnSeS3 at its relaxed geometry, with properties calculated at the PBE level.

Unit cell a=5.5343 b=5.5379 c=6.7559 alpha=114.15 beta=114.01 gamma=90.03
Last column: nearest neighbours and their distance in Å.
Fractional coordinates of all 8 atoms:
1 Zn 0.2452 0.7634 0.5075  3 S 2.36-2.37, 1 Se 2.48
2 Cu 0.9865 0.9867 0.9912  3 S 2.31-2.33, 1 Se 2.43
3 Cu 0.7637 0.2457 0.5088  3 S 2.31-2.32, 1 Se 2.42
4 Sn 0.5048 0.5053 0.9935  3 S 2.48-2.49, 1 Se 2.59
5 Se 0.3707 0.3612 0.2607  2 Cu 2.42-2.43, 1 Zn 2.48, 1 Sn 2.59
6 S 0.8885 0.8971 0.2584  2 Cu 2.31, 1 Zn 2.37, 1 Sn 2.48
7 S 0.1042 0.6285 0.7397  2 Cu 2.32, 1 Zn 2.36, 1 Sn 2.49
8 S 0.6363 0.1121 0.7401  2 Cu 2.31-2.33, 1 Zn 2.37, 1 Sn 2.48

Corrected total energy (MP2020 scheme)   -34.4 eV/cell

---

Below is crystalline Th2C3 at its relaxed geometry, with properties calculated at the PBE level.

Unit cell a=7.4146 b=7.4146 c=7.4146 alpha=109.47 beta=109.47 gamma=109.47
Last column: nearest neighbours and their distance in Å.
Fractional coordinates of all 20 atoms:
1 Th 0.5969 0.5000 0.0000  6 C 2.59-2.74
2 Th 0.5000 0.0000 0.5969  6 C 2.59-2.74
3 Th 0.0000 0.5969 0.5000  6 C 2.59-2.74
4 Th 0.9031 0.9031 0.9031  6 C 2.59-2.74
5 Th 0.5000 0.0000 0.0969  6 C 2.59-2.74
6 Th 0.0969 0.5000 0.0000  6 C 2.59-2.74
7 Th 0.0000 0.0969 0.5000  6 C 2.59-2.74
8 Th 0.4031 0.4031 0.4031  6 C 2.59-2.74
9 C 0.7925 0.2500 0.0425  1 C 1.41
10 C 0.7075 0.7500 0.4575  1 C 1.41
11 C 0.5425 0.7500 0.2925  1 C 1.41
12 C 0.9575 0.2500 0.2075  1 C 1.41
13 C 0.2500 0.0425 0.7925  1 C 1.41
14 C 0.7500 0.4575 0.7075  1 C 1.41
15 C 0.7500 0.2925 0.5425  1 C 1.41
16 C 0.2500 0.2075 0.9575  1 C 1.41
17 C 0.0425 0.7925 0.2500  1 C 1.41
18 C 0.4575 0.7075 0.7500  1 C 1.41
19 C 0.2925 0.5425 0.7500  1 C 1.41
20 C 0.2075 0.9575 0.2500  1 C 1.41

---

Calculated total energy? In order: -275.4; -629.2; -11.2; -266.7; -32.9; -175.3 eV for the cell shown.
Formation enthalpy at 0 K? In order: -3.727; -0.602; 0.029; -0.791; -0.624; -0.263 eV/atom.